LiCe2Ga PBE optimized geometry; symmetry = Fm-3m (225); E = -4.337 eV per atom; energy of formation from the pure elements = -0.136 eV per atom
1.0
0.000 3.641 3.641
3.641 0.000 3.641
3.641 3.641 0.000
Li Ce Ga
1 2 1
Direct
0.000 0.000 0.000 Li
0.750 0.750 0.750 Ce
0.250 0.250 0.250 Ce
0.500 0.500 0.500 Ga